First-principles (GGA+U) data for an optimized crystal structure of Li24Mn5Cr7O36, as listed in Materials Project.

Unit cell a=5.005 b=9.747 c=13.311 alpha=97.18 beta=100.57 gamma=94.48
Sites, in units of the cell vectors:
O 0.812 0.361 0.975
O 0.862 0.638 0.357
O 0.182 0.137 0.524
O 0.402 0.636 0.452
O 0.929 0.364 0.215
O 0.149 0.862 0.142
O 0.481 0.863 0.811
O 0.476 0.362 0.310
O 0.184 0.638 0.024
O 0.809 0.861 0.476
O 0.258 0.864 0.382
O 0.732 0.635 0.117
O 0.996 0.637 0.569
O 0.071 0.137 0.285
O 0.335 0.139 0.738
O 0.600 0.365 0.549
O 0.670 0.362 0.764
O 0.002 0.138 0.073
O 0.664 0.862 0.264
O 0.603 0.865 0.050
O 0.996 0.361 0.428
O 0.069 0.637 0.784
O 0.152 0.363 0.642
O 0.338 0.638 0.239
O 0.663 0.137 0.401
O 0.329 0.861 0.596
O 0.266 0.365 0.881
O 0.399 0.137 0.951
O 0.856 0.138 0.857
O 0.001 0.862 0.928
O 0.524 0.139 0.190
O 0.930 0.864 0.715
O 0.732 0.136 0.616
O 0.330 0.361 0.096
O 0.521 0.639 0.691
O 0.666 0.639 0.903
Li 0.000 0.750 0.250
Li 0.620 0.001 0.723
Li 0.046 0.001 0.613
Li 0.668 0.250 0.084
Li 0.335 0.250 0.417
Li 0.000 0.250 0.751
Li 0.286 0.500 0.554
Li 0.668 0.750 0.583
Li 0.949 0.999 0.387
Li 0.285 0.999 0.054
Li 0.164 0.500 0.333
Li 0.498 0.500 0.999
Li 0.384 0.001 0.280
Li 0.166 0.999 0.833
Li 0.715 0.999 0.944
Li 0.333 0.750 0.916
Li 0.618 0.499 0.221
Li 0.381 0.499 0.780
Li 0.835 0.500 0.667
Li 0.496 0.000 0.500
Li 0.952 0.500 0.887
Li 0.837 0.000 0.166
Li 0.046 0.501 0.113
Li 0.717 0.501 0.447
Cr 0.893 0.250 0.525
Cr 0.443 0.750 0.141
Cr 0.114 0.250 0.975
Cr 0.558 0.751 0.363
Cr 0.442 0.251 0.642
Cr 0.888 0.750 0.025
Cr 0.228 0.750 0.693
Mn 0.779 0.751 0.806
Mn 0.558 0.251 0.861
Mn 0.222 0.250 0.195
Mn 0.108 0.749 0.472
Mn 0.774 0.249 0.305

Output
As for the total energy: -6.241 eV per atom. Its space group is P1, No. 1.

=====

First-principles (GGA+U) data for an optimized crystal structure of Li2Mn2CrO6, as listed in Materials Project.

Unit cell a=5.113 b=5.113 c=10.209 alpha=90.00 beta=90.00 gamma=118.55
Sites, in units of the cell vectors:
O 0.835 0.835 0.404
O 0.171 0.521 0.394
O 0.521 0.171 0.394
O 0.021 0.671 0.106
O 0.479 0.829 0.606
O 0.165 0.165 0.596
O 0.979 0.329 0.894
O 0.829 0.479 0.606
O 0.671 0.021 0.106
O 0.665 0.665 0.904
O 0.335 0.335 0.096
O 0.329 0.979 0.894
Li 0.147 0.647 0.750
Li 0.353 0.853 0.250
Li 0.647 0.147 0.750
Li 0.853 0.353 0.250
Cr 0.000 0.000 0.000
Cr 0.500 0.500 0.500
Mn 0.837 0.163 0.500
Mn 0.163 0.837 0.500
Mn 0.337 0.663 0.000
Mn 0.663 0.337 0.000

Output
As for the total energy: -6.833 eV per atom. Its space group is Cmce, No. 64.

=====

First-principles (GGA+U) data for an optimized crystal structure of Li24Mn11CrO36, as listed in Materials Project.

Unit cell a=5.008 b=10.559 c=13.013 alpha=112.74 beta=97.18 gamma=94.78
Sites, in units of the cell vectors:
Li 0.334 0.668 0.418
Li 0.109 0.725 0.224
Li 0.333 0.667 0.917
Li 0.667 0.333 0.583
Li 0.558 0.608 0.108
Li 0.667 0.333 0.084
Li 0.667 0.833 0.833
Li 0.222 0.941 0.442
Li 0.777 0.059 0.558
Li 0.668 0.834 0.333
Li 0.553 0.609 0.608
Li 0.883 0.275 0.274
Li 0.449 0.391 0.392
Li 0.334 0.167 0.167
Li 0.889 0.275 0.775
Li 0.114 0.725 0.725
Li 0.999 0.500 0.500
Li 0.000 0.000 0.750
Li 0.333 0.167 0.667
Li 0.444 0.392 0.892
Li 0.219 0.942 0.942
Li 0.782 0.058 0.059
Li 0.000 0.000 0.250
Li 0.000 0.500 0.000
O 0.880 0.044 0.906
O 0.239 0.194 0.332
O 0.024 0.257 0.621
O 0.453 0.622 0.760
O 0.554 0.378 0.241
O 0.572 0.860 0.498
O 0.786 0.289 0.927
O 0.690 0.591 0.955
O 0.761 0.806 0.168
O 0.643 0.076 0.212
O 0.307 0.409 0.045
O 0.428 0.140 0.502
O 0.094 0.472 0.334
O 0.452 0.621 0.259
O 0.357 0.924 0.788
O 0.214 0.711 0.073
O 0.357 0.924 0.288
O 0.428 0.140 0.002
O 0.310 0.409 0.545
O 0.547 0.378 0.740
O 0.905 0.527 0.665
O 0.899 0.529 0.165
O 0.239 0.194 0.831
O 0.786 0.289 0.427
O 0.025 0.257 0.121
O 0.214 0.711 0.573
O 0.880 0.044 0.406
O 0.689 0.591 0.455
O 0.572 0.860 0.998
O 0.095 0.473 0.835
O 0.761 0.806 0.668
O 0.120 0.956 0.094
O 0.978 0.743 0.379
O 0.120 0.956 0.594
O 0.976 0.743 0.879
O 0.643 0.076 0.712
Mn 0.222 0.445 0.695
Mn 0.778 0.555 0.805
Mn 0.444 0.889 0.639
Mn 0.556 0.111 0.861
Mn 0.111 0.222 0.972
Mn 0.778 0.556 0.305
Mn 0.556 0.111 0.361
Mn 0.889 0.778 0.528
Mn 0.444 0.889 0.139
Mn 0.111 0.222 0.472
Mn 0.889 0.778 0.028
Cr 0.224 0.447 0.197

Output
As for the total energy: -6.202 eV per atom. Its space group is P1, No. 1.

=====

First-principles (GGA+U) data for an optimized crystal structure of Li5MnCr3O8, as listed in Materials Project.

Unit cell a=8.682 b=8.682 c=8.395 alpha=90.00 beta=90.00 gamma=90.00
Sites, in units of the cell vectors:
O 0.613 0.867 0.495
O 0.633 0.113 0.245
O 0.367 0.887 0.745
O 0.646 0.633 0.744
O 0.378 0.114 0.510
O 0.614 0.122 0.760
O 0.622 0.886 0.010
O 0.114 0.378 0.490
O 0.878 0.386 0.740
O 0.607 0.363 0.010
O 0.137 0.107 0.760
O 0.146 0.867 0.506
O 0.133 0.854 0.994
O 0.113 0.633 0.755
O 0.867 0.613 0.505
O 0.893 0.863 0.740
O 0.133 0.387 0.005
O 0.854 0.133 0.006
O 0.386 0.878 0.260
O 0.863 0.893 0.260
O 0.122 0.614 0.240
O 0.393 0.637 0.510
O 0.886 0.622 0.990
O 0.637 0.393 0.490
O 0.363 0.607 0.990
O 0.387 0.133 0.995
O 0.867 0.146 0.494
O 0.107 0.137 0.240
O 0.354 0.367 0.244
O 0.887 0.367 0.255
O 0.367 0.354 0.756
O 0.633 0.646 0.256
Li 0.198 0.049 0.057
Li 0.110 0.367 0.733
Li 0.633 0.890 0.767
Li 0.802 0.951 0.557
Li 0.451 0.698 0.807
Li 0.049 0.198 0.943
Li 0.610 0.133 0.517
Li 0.133 0.610 0.483
Li 0.867 0.390 0.983
Li 0.647 0.647 0.000
Li 0.353 0.353 0.500
Li 0.951 0.802 0.443
Li 0.853 0.147 0.750
Li 0.147 0.853 0.250
Li 0.698 0.451 0.193
Li 0.367 0.110 0.267
Li 0.390 0.867 0.017
Li 0.890 0.633 0.233
Li 0.302 0.549 0.693
Li 0.549 0.302 0.307
Cr 0.871 0.129 0.250
Cr 0.129 0.871 0.750
Cr 0.371 0.371 0.000
Cr 0.874 0.379 0.497
Cr 0.621 0.126 0.003
Cr 0.626 0.879 0.253
Cr 0.121 0.374 0.247
Cr 0.126 0.621 0.997
Cr 0.379 0.874 0.503
Cr 0.879 0.626 0.747
Cr 0.374 0.121 0.753
Cr 0.629 0.629 0.500
Mn 0.619 0.381 0.750
Mn 0.881 0.881 0.000
Mn 0.119 0.119 0.500
Mn 0.381 0.619 0.250

Output
As for the total energy: -6.595 eV per atom. Its space group is P4_32_12, No. 96.

=====

First-principles (GGA+U) data for an optimized crystal structure of Li3MnCr2O6, as listed in Materials Project.

Unit cell a=2.941 b=6.811 c=11.804 alpha=77.24 beta=90.00 gamma=77.53
Sites, in units of the cell vectors:
O 0.505 0.990 0.119
O 0.165 0.670 0.284
O 0.502 0.996 0.383
O 0.162 0.677 0.548
O 0.505 0.990 0.619
O 0.844 0.311 0.450
O 0.502 0.996 0.883
O 0.844 0.311 0.950
O 0.822 0.355 0.716
O 0.162 0.677 0.048
O 0.822 0.355 0.216
O 0.165 0.670 0.784
Cr 0.663 0.675 0.167
Cr 0.004 0.992 0.000
Cr 0.663 0.675 0.667
Cr 0.004 0.992 0.500
Mn 0.333 0.333 0.333
Mn 0.333 0.333 0.833
Li 0.333 0.333 0.083
Li 0.659 0.681 0.912
Li 0.007 0.986 0.255
Li 0.659 0.681 0.412
Li 0.333 0.333 0.583
Li 0.007 0.986 0.755

Output
As for the total energy: -6.811 eV per atom.

=====

First-principles (GGA+U) data for an optimized crystal structure of Li2MnCrO4, as listed in Materials Project.

Unit cell a=5.209 b=5.840 c=5.209 alpha=90.02 beta=68.18 gamma=89.91
Sites, in units of the cell vectors:
O 0.270 0.500 0.271
O 0.735 0.500 0.736
O 0.755 0.264 0.280
O 0.229 0.001 0.230
O 0.220 0.236 0.745
O 0.764 0.000 0.765
O 0.280 0.736 0.755
O 0.745 0.764 0.220
Li 0.003 0.750 0.497
Li 0.500 0.001 0.500
Li 0.497 0.250 0.003
Li 0.000 0.499 0.000
Cr 0.000 0.250 0.500
Cr 0.502 0.750 0.999
Mn 0.996 0.999 0.995
Mn 0.505 0.501 0.504

Output
As for the total energy: -6.764 eV per atom. Its space group is P1, No. 1.

=====

First-principles (GGA+U) data for an optimized crystal structure of LiMn2Cr2O8, as listed in Materials Project.

Unit cell a=5.781 b=5.822 c=5.874 alpha=60.89 beta=61.61 gamma=60.79
Sites, in units of the cell vectors:
O 0.243 0.793 0.231
O 0.240 0.241 0.220
O 0.793 0.242 0.224
O 0.761 0.766 0.209
O 0.207 0.758 0.776
O 0.760 0.759 0.780
O 0.757 0.207 0.769
O 0.239 0.234 0.791
Li 0.500 0.500 0.500
Cr 0.000 0.000 0.500
Cr 0.000 0.500 0.000
Mn 0.500 0.000 0.000
Mn 0.000 0.000 0.000

Output
As for the total energy: -7.089 eV per atom. Its space group is P-1, No. 2.

=====

First-principles (GGA+U) data for an optimized crystal structure of Li2Mn3CrO8, as listed in Materials Project.

Unit cell a=5.885 b=5.885 c=9.444 alpha=90.00 beta=90.00 gamma=120.00
Sites, in units of the cell vectors:
O 0.520 0.040 0.838
O 0.324 0.162 0.102
O 0.333 0.667 0.101
O 0.000 0.000 0.809
O 0.000 0.000 0.309
O 0.480 0.960 0.338
O 0.480 0.520 0.338
O 0.040 0.520 0.338
O 0.162 0.324 0.602
O 0.838 0.676 0.102
O 0.960 0.480 0.838
O 0.520 0.480 0.838
O 0.667 0.333 0.601
O 0.676 0.838 0.602
O 0.162 0.838 0.602
O 0.838 0.162 0.102
Mn 0.829 0.659 0.715
Mn 0.829 0.171 0.715
Mn 0.171 0.341 0.215
Mn 0.659 0.829 0.215
Mn 0.171 0.829 0.215
Mn 0.341 0.171 0.715
Li 0.000 0.000 0.998
Li 0.333 0.667 0.892
Li 0.000 0.000 0.498
Li 0.667 0.333 0.392
Cr 0.667 0.333 0.988
Cr 0.333 0.667 0.488

Output
As for the total energy: -6.952 eV per atom. Its space group is P6_3mc, No. 186.

=====

First-principles (GGA+U) data for an optimized crystal structure of Li2MnCrO4, as listed in Materials Project.

Unit cell a=5.850 b=6.010 c=5.906 alpha=60.74 beta=90.00 gamma=119.12
Sites, in units of the cell vectors:
Li 0.000 0.500 0.500
Li 0.000 0.000 0.000
Li 0.500 0.000 0.000
Li 0.500 0.500 0.500
O 0.245 0.989 0.269
O 0.263 0.526 0.761
O 0.763 0.526 0.761
O 0.256 0.011 0.730
O 0.744 0.989 0.270
O 0.237 0.474 0.239
O 0.755 0.011 0.731
O 0.737 0.474 0.239
Mn 0.000 0.500 0.000
Mn 0.500 0.500 0.000
Cr 0.500 0.000 0.500
Cr 0.000 0.000 0.500

Output
As for the total energy: -6.762 eV per atom.

=====

First-principles (GGA+U) data for an optimized crystal structure of Li2Mn3CrO8, as listed in Materials Project.

Unit cell a=5.804 b=5.936 c=5.972 alpha=119.42 beta=90.21 gamma=118.97
Sites, in units of the cell vectors:
O 0.756 0.064 0.228
O 0.720 0.558 0.196
O 0.232 0.550 0.204
O 0.768 0.450 0.796
O 0.238 0.061 0.204
O 0.244 0.936 0.772
O 0.280 0.442 0.804
O 0.762 0.939 0.796
Mn 0.500 0.000 0.000
Mn 0.500 0.500 0.000
Mn 0.000 0.500 0.000
Li 0.000 0.000 0.500
Li 0.500 0.500 0.500
Cr 0.000 0.000 0.000

Output
As for the total energy: -6.020 eV per atom. Its space group is P-1, No. 2.

=====

Across the entries above, total magnetic moment takes the values 29.00; 10.00; 35.00; 14.00; 0.00; 4.00; 11.00; 13.00; 3.00; 13.00 μB per formula unit, respectively.
Across the entries above, energy of formation takes the values -2210; -2103; -2184; -2237; -2303; -2262; -1989; -2092; -2260; -1160 meV per atom, respectively.
Across the entries above, energy with MP2020 corrections takes the values -496.42; -84.62; -491.63; -125.28; -91.52; -60.52; -104.98; -109.83; -60.51; -96.78 eV per formula unit, respectively.